Entry 1:
VASP calculation (GGA+U) on a relaxed RbNi2F6 crystal.

Lattice parameters (Å, degrees): 7.217 7.217 7.217 60.00 60.00 60.00
Sites, in units of the cell vectors:
Rb1 0.125 0.125 0.125
Rb2 0.875 0.875 0.875
Ni1 0.000 0.500 0.500
Ni2 0.500 0.000 0.500
Ni3 0.500 0.500 0.000
Ni4 0.500 0.500 0.500
F1 0.178 0.178 0.572
F2 0.178 0.572 0.178
F3 0.178 0.572 0.572
F4 0.428 0.428 0.822
F5 0.428 0.822 0.428
F6 0.428 0.822 0.822
F7 0.572 0.178 0.178
F8 0.572 0.178 0.572
F9 0.572 0.572 0.178
F10 0.822 0.428 0.428
F11 0.822 0.428 0.822
F12 0.822 0.822 0.428

Total energy after the MP2020 corrections (eV/atom): -5.0047
Energy of formation (meV per atom): -2335
Space-group type: Fd-3m, No. 227
Crystal system: cubic

***

Entry 2:
VASP calculation (GGA+U) on a relaxed V3O8 crystal.

Lattice parameters (Å, degrees): 9.929 9.929 5.137 102.65 102.65 16.43
Sites, in units of the cell vectors:
V1 0.000 0.000 0.000
V2 0.173 0.173 0.843
V3 0.827 0.827 0.157
O1 0.094 0.094 0.928
O2 0.285 0.285 0.898
O3 0.333 0.333 0.384
O4 0.474 0.474 0.759
O5 0.526 0.526 0.241
O6 0.667 0.667 0.616
O7 0.715 0.715 0.102
O8 0.906 0.906 0.072

Total energy after the MP2020 corrections (eV/atom): -8.0555
Energy of formation (meV per atom): -1980
ΔE to the lowest computed polymorph (meV per atom): 77.3
Space-group type: C2/m, No. 12
Crystal system: monoclinic

***

Entry 3:
VASP calculation (GGA+U) on a relaxed KMo4O8 crystal.

Lattice parameters (Å, degrees): 10.373 5.814 14.669 90.00 134.76 90.00
Sites, in units of the cell vectors:
K1 0.000 0.130 0.250
K2 0.000 0.359 0.750
K3 0.000 0.641 0.250
K4 0.000 0.870 0.750
Mo1 0.157 0.404 0.073
Mo2 0.157 0.596 0.573
Mo3 0.184 0.155 0.581
Mo4 0.184 0.845 0.081
Mo5 0.477 0.168 0.402
Mo6 0.477 0.832 0.902
Mo7 0.489 0.384 0.921
Mo8 0.489 0.616 0.421
Mo9 0.511 0.384 0.579
Mo10 0.511 0.616 0.079
Mo11 0.523 0.168 0.098
Mo12 0.523 0.832 0.598
Mo13 0.816 0.155 0.919
Mo14 0.816 0.845 0.419
Mo15 0.843 0.404 0.427
Mo16 0.843 0.596 0.927
O1 0.036 0.375 0.420
O2 0.036 0.625 0.920
O3 0.041 0.124 0.948
O4 0.041 0.876 0.448
O5 0.292 0.124 0.209
O6 0.292 0.876 0.709
O7 0.300 0.394 0.381
O8 0.300 0.606 0.881
O9 0.304 0.373 0.722
O10 0.304 0.627 0.222
O11 0.345 0.109 0.904
O12 0.345 0.891 0.404
O13 0.364 0.384 0.083
O14 0.364 0.616 0.583
O15 0.371 0.118 0.583
O16 0.371 0.882 0.083
O17 0.629 0.118 0.917
O18 0.629 0.882 0.417
O19 0.636 0.384 0.417
O20 0.636 0.616 0.917
O21 0.655 0.109 0.596
O22 0.655 0.891 0.096
O23 0.696 0.373 0.778
O24 0.696 0.627 0.278
O25 0.700 0.394 0.119
O26 0.700 0.606 0.619
O27 0.708 0.124 0.291
O28 0.708 0.876 0.791
O29 0.959 0.124 0.552
O30 0.959 0.876 0.052
O31 0.964 0.375 0.080
O32 0.964 0.625 0.580

Total energy after the MP2020 corrections (eV/atom): -8.2550
Energy of formation (meV per atom): -1788
ΔE to the lowest computed polymorph (meV per atom): 203.6
Space-group type: P2/c, No. 13
Crystal system: monoclinic

***

Entry 4:
VASP calculation (GGA+U) on a relaxed Li3Mn4F15 crystal.

Lattice parameters (Å, degrees): 3.944 17.906 17.973 90.00 90.00 90.00
Sites, in units of the cell vectors:
Li1 0.000 0.005 0.000
Li2 0.000 0.316 0.229
Li3 0.000 0.339 0.846
Li4 0.000 0.509 0.192
Li5 0.000 0.808 0.339
Li6 0.000 0.812 0.955
Li7 0.500 0.188 0.455
Li8 0.500 0.192 0.839
Li9 0.500 0.491 0.692
Li10 0.500 0.661 0.346
Li11 0.500 0.684 0.729
Li12 0.500 0.995 0.500
Mn1 0.000 0.026 0.644
Mn2 0.000 0.239 0.702
Mn3 0.000 0.315 0.496
Mn4 0.000 0.465 0.347
Mn5 0.000 0.525 0.549
Mn6 0.000 0.735 0.489
Mn7 0.000 0.814 0.694
Mn8 0.000 0.963 0.845
Mn9 0.500 0.037 0.345
Mn10 0.500 0.186 0.194
Mn11 0.500 0.265 0.989
Mn12 0.500 0.475 0.049
Mn13 0.500 0.535 0.847
Mn14 0.500 0.685 0.996
Mn15 0.500 0.761 0.202
Mn16 0.500 0.974 0.144
F1 0.000 0.011 0.540
F2 0.000 0.025 0.750
F3 0.000 0.037 0.340
F4 0.000 0.050 0.900
F5 0.000 0.143 0.658
F6 0.000 0.198 0.198
F7 0.000 0.205 0.804
F8 0.000 0.216 0.456
F9 0.000 0.270 0.985
F10 0.000 0.277 0.603
F11 0.000 0.335 0.741
F12 0.000 0.369 0.392
F13 0.000 0.410 0.537
F14 0.000 0.416 0.246
F15 0.000 0.474 0.056
F16 0.000 0.508 0.653
F17 0.000 0.527 0.444
F18 0.000 0.533 0.853
F19 0.000 0.554 0.295
F20 0.000 0.642 0.539
F21 0.000 0.693 0.387
F22 0.000 0.697 0.991
F23 0.000 0.715 0.730
F24 0.000 0.765 0.210
F25 0.000 0.779 0.586
F26 0.000 0.827 0.444
F27 0.000 0.867 0.799
F28 0.000 0.910 0.654
F29 0.000 0.913 0.943
F30 0.000 0.973 0.137
F31 0.500 0.027 0.637
F32 0.500 0.087 0.443
F33 0.500 0.090 0.154
F34 0.500 0.133 0.299
F35 0.500 0.173 0.944
F36 0.500 0.221 0.086
F37 0.500 0.235 0.710
F38 0.500 0.285 0.230
F39 0.500 0.303 0.491
F40 0.500 0.307 0.887
F41 0.500 0.358 0.039
F42 0.500 0.446 0.795
F43 0.500 0.467 0.353
F44 0.500 0.473 0.944
F45 0.500 0.492 0.153
F46 0.500 0.526 0.556
F47 0.500 0.584 0.746
F48 0.500 0.590 0.037
F49 0.500 0.631 0.892
F50 0.500 0.665 0.241
F51 0.500 0.723 0.103
F52 0.500 0.730 0.485
F53 0.500 0.784 0.956
F54 0.500 0.795 0.304
F55 0.500 0.802 0.698
F56 0.500 0.857 0.158
F57 0.500 0.950 0.400
F58 0.500 0.963 0.840
F59 0.500 0.975 0.250
F60 0.500 0.989 0.040

Total energy after the MP2020 corrections (eV/atom): -6.0681
Energy of formation (meV per atom): -2837
Space-group type: Pmn2_1, No. 31
Crystal system: orthorhombic

***

Entry 5:
VASP calculation (GGA+U) on a relaxed La2NiO3F2 crystal.

Lattice parameters (Å, degrees): 13.258 5.824 5.703 90.00 90.00 90.00
Sites, in units of the cell vectors:
Ni1 0.250 0.250 0.000
Ni2 0.750 0.750 0.000
Ni3 0.750 0.250 0.500
Ni4 0.250 0.750 0.500
La1 0.608 0.789 0.500
La2 0.392 0.789 0.000
La3 0.892 0.711 0.500
La4 0.608 0.211 0.000
La5 0.392 0.211 0.500
La6 0.108 0.289 0.500
La7 0.108 0.711 0.000
La8 0.892 0.289 0.000
O1 0.721 0.000 0.750
O2 0.779 0.500 0.250
O3 0.500 0.000 0.750
O4 0.779 0.500 0.750
O5 0.221 0.500 0.250
O6 0.000 0.500 0.750
O7 0.721 0.000 0.250
O8 0.221 0.500 0.750
O9 0.279 0.000 0.250
O10 0.500 0.000 0.250
O11 0.000 0.500 0.250
O12 0.279 0.000 0.750
F1 0.407 0.632 0.500
F2 0.907 0.868 0.000
F3 0.093 0.868 0.500
F4 0.907 0.132 0.500
F5 0.593 0.368 0.500
F6 0.593 0.632 0.000
F7 0.093 0.132 0.000
F8 0.407 0.368 0.000

Total energy after the MP2020 corrections (eV/atom): -7.6639
Energy of formation (meV per atom): -3373

***

Entry 6:
VASP calculation (GGA+U) on a relaxed Gd3VGeO9 crystal.

Lattice parameters (Å, degrees): 6.978 12.368 9.775 90.00 115.09 90.00
Sites, in units of the cell vectors:
Gd1 0.050 0.131 0.377
Gd2 0.050 0.369 0.877
Gd3 0.372 0.606 0.876
Gd4 0.372 0.894 0.376
Gd5 0.395 0.135 0.155
Gd6 0.395 0.365 0.655
Gd7 0.605 0.635 0.345
Gd8 0.605 0.865 0.845
Gd9 0.628 0.106 0.624
Gd10 0.628 0.394 0.124
Gd11 0.950 0.631 0.123
Gd12 0.950 0.869 0.623
V1 0.217 0.663 0.520
V2 0.217 0.837 0.020
V3 0.783 0.163 0.980
V4 0.783 0.337 0.480
Ge1 0.191 0.101 0.741
Ge2 0.191 0.399 0.241
Ge3 0.809 0.601 0.759
Ge4 0.809 0.899 0.259
O1 0.032 0.158 0.133
O2 0.032 0.342 0.633
O3 0.069 0.575 0.910
O4 0.069 0.925 0.410
O5 0.176 0.174 0.890
O6 0.176 0.326 0.390
O7 0.240 0.746 0.165
O8 0.240 0.754 0.665
O9 0.281 0.534 0.276
O10 0.281 0.966 0.776
O11 0.291 0.543 0.622
O12 0.291 0.957 0.122
O13 0.314 0.171 0.636
O14 0.314 0.329 0.136
O15 0.382 0.079 0.384
O16 0.382 0.421 0.884
O17 0.399 0.713 0.461
O18 0.399 0.787 0.961
O19 0.601 0.213 0.039
O20 0.601 0.287 0.539
O21 0.618 0.579 0.116
O22 0.618 0.921 0.616
O23 0.686 0.671 0.864
O24 0.686 0.829 0.364
O25 0.709 0.043 0.878
O26 0.709 0.457 0.378
O27 0.719 0.034 0.224
O28 0.719 0.466 0.724
O29 0.760 0.246 0.335
O30 0.760 0.254 0.835
O31 0.824 0.674 0.610
O32 0.824 0.826 0.110
O33 0.931 0.075 0.590
O34 0.931 0.425 0.090
O35 0.968 0.658 0.367
O36 0.968 0.842 0.867

Total energy after the MP2020 corrections (eV/atom): -10.4078
Energy of formation (meV per atom): -3232
Space-group type: P2_1/c, No. 14
Crystal system: monoclinic